(1)
Crystalline BaTaSe3 at its relaxed geometry. Source: the Materials Project database, functional PBE-GGA. Values from VASP.

The structure in Quantum ESPRESSO input format:
```
&SYSTEM
  ibrav = 0, nat = 10, ntyp = 3
/
ATOMIC_SPECIES
Ba 137.33 Ba.upf
Ta 180.95 Ta.upf
Se 78.96 Se.upf
CELL_PARAMETERS angstrom
7.2784 0.0000 0.0000
-3.6392 6.3033 0.0000
0.0000 0.0000 5.9259
ATOMIC_POSITIONS angstrom
Ba 0.0000 4.2022 1.4815
Ba 3.6392 2.1011 4.4444
Ta 0.0000 0.0000 0.0000
Ta 0.0000 0.0000 2.9629
Se 0.0000 2.1740 4.4444
Se -1.7565 5.2163 4.4444
Se 1.8827 1.0870 1.4815
Se 1.7565 5.2163 4.4444
Se 5.3957 1.0870 1.4815
Se 3.6392 4.1293 1.4815
```

**E_form**: -1.564 eV per atom
**E_tot**: -6.13 eV/atom
**Magnetization**: 0.00 μB/f.u.
**Symmetry**: P6_3/mmc (194)

***

(2)
Crystalline Ba3ThSe7 at its relaxed geometry. Source: the Materials Project database, functional PBE-GGA. Values from VASP.

The structure in Quantum ESPRESSO input format:
```
&SYSTEM
  ibrav = 0, nat = 11, ntyp = 3
/
ATOMIC_SPECIES
Ba 137.33 Ba.upf
Th 232.04 Th.upf
Se 78.96 Se.upf
CELL_PARAMETERS angstrom
-2.9465 6.3239 4.8215
2.9465 -6.3239 4.8215
2.9465 6.3239 -4.8215
ATOMIC_POSITIONS angstrom
Ba 0.0000 0.0000 0.0000
Ba 2.9465 3.0265 2.0074
Ba 0.0000 3.2975 6.8289
Th 0.0000 6.3239 0.8919
Se 1.2039 6.3239 -1.8990
Se 1.7426 0.0000 2.9225
Se 0.0000 3.3850 0.4994
Se 0.0000 0.0000 6.2702
Se 0.0000 9.2628 0.4994
Se 0.0000 5.1214 3.7254
Se 0.0000 7.5265 3.7254
```

**E_form**: -1.938 eV per atom
**E_tot**: -5.06 eV/atom
**Symmetry**: Imm2 (44)

***

(3)
Crystalline BaTm2Se4 at its relaxed geometry. Source: the Materials Project database, functional PBE-GGA. Values from VASP.

The structure in Quantum ESPRESSO input format:
```
&SYSTEM
  ibrav = 0, nat = 28, ntyp = 3
/
ATOMIC_SPECIES
Ba 137.33 Ba.upf
Tm 168.93 Tm.upf
Se 78.96 Se.upf
CELL_PARAMETERS angstrom
12.8204 0.0000 0.0000
0.0000 4.1692 0.0000
0.0000 0.0000 15.0823
ATOMIC_POSITIONS angstrom
Ba 3.0862 1.0423 2.4895
Ba 3.3240 3.1269 10.0307
Ba 9.4964 1.0423 5.0516
Ba 9.7342 3.1269 12.5928
Tm 0.8079 1.0423 5.8964
Tm 1.0123 1.0423 13.5835
Tm 5.3979 3.1269 6.0424
Tm 5.6023 3.1269 13.4375
Tm 7.2181 1.0423 1.6448
Tm 7.4225 1.0423 9.0400
Tm 11.8081 3.1269 1.4988
Tm 12.0125 3.1269 9.1859
Se 0.3203 3.1269 11.8162
Se 1.0784 1.0423 8.6888
Se 1.5870 3.1269 0.3649
Se 2.6366 3.1269 5.1207
Se 3.7736 1.0423 12.6619
Se 4.8232 1.0423 7.9061
Se 5.3318 3.1269 1.1476
Se 6.0899 1.0423 4.2750
Se 6.7305 3.1269 10.8073
Se 7.4886 1.0423 13.9347
Se 7.9972 3.1269 7.1762
Se 9.0468 3.1269 2.4204
Se 10.1838 1.0423 9.9616
Se 11.2334 1.0423 14.7174
Se 11.7420 3.1269 6.3935
Se 12.5000 1.0423 3.2661
```

**E_form**: -2.231 eV per atom
**E_tot**: -5.51 eV/atom
**Symmetry**: Pnma (62)